No. 1
## CaLaMnMoO6 (GGA+U)

Data for CaLaMnMoO6 after structural relaxation.

a = 5.610 Å, b = 5.775 Å, c = 8.072 Å
α = 90.00°, β = 90.72°, γ = 90.00°
Positions (direct):
Ca  0.489  0.445  0.254
Ca  0.989  0.055  0.754
La  0.009  0.947  0.244
La  0.509  0.553  0.744
Mn  0.000  0.498  0.000
Mn  0.500  0.002  0.500
Mo  0.501  0.002  0.999
Mo  0.001  0.498  0.499
O  0.098  0.460  0.743
O  0.598  0.040  0.243
O  0.179  0.218  0.448
O  0.679  0.282  0.948
O  0.206  0.193  0.051
O  0.706  0.307  0.551
O  0.296  0.690  0.448
O  0.796  0.810  0.948
O  0.325  0.720  0.055
O  0.825  0.780  0.555
O  0.397  0.964  0.758
O  0.897  0.536  0.258

Its total magnetic moment is 4.000 μB/f.u. As for the MP2020-corrected energy: -8.49 eV per atom. Its energy of formation from the pure elements is -2.8262 eV/atom.


No. 2
## TbMoBrO4 (GGA+U)

Data for TbMoBrO4 after structural relaxation.

a = 6.945 Å, b = 7.316 Å, c = 11.101 Å
α = 105.62°, β = 107.29°, γ = 92.74°
Positions (direct):
Tb  0.644  0.122  0.731
Tb  0.356  0.878  0.269
Tb  0.393  0.651  0.769
Tb  0.607  0.349  0.231
Mo  0.734  0.814  0.134
Mo  0.266  0.186  0.866
Mo  0.775  0.592  0.630
Mo  0.225  0.408  0.370
Br  0.259  0.985  0.517
Br  0.741  0.015  0.483
Br  0.195  0.716  0.981
Br  0.805  0.284  0.019
O  0.670  0.728  0.959
O  0.330  0.272  0.041
O  0.003  0.866  0.207
O  0.997  0.134  0.793
O  0.625  0.651  0.202
O  0.375  0.349  0.798
O  0.393  0.979  0.818
O  0.607  0.021  0.182
O  0.044  0.644  0.675
O  0.956  0.356  0.325
O  0.708  0.418  0.703
O  0.292  0.582  0.297
O  0.675  0.506  0.453
O  0.325  0.494  0.547
O  0.657  0.796  0.701
O  0.343  0.204  0.299

Its total magnetic moment is 0.000 μB/f.u. As for the MP2020-corrected energy: -7.79 eV per atom. Its energy of formation from the pure elements is -2.5196 eV/atom.


No. 3
## CoP2O4 (GGA+U)

Data for CoP2O4 after structural relaxation.

a = 5.416 Å, b = 6.572 Å, c = 7.608 Å
α = 90.00°, β = 90.00°, γ = 90.00°
Positions (direct):
Co  0.000  0.500  0.000
Co  0.000  0.000  0.000
P  0.000  0.750  0.629
P  0.000  0.250  0.371
P  0.500  0.750  0.151
P  0.500  0.250  0.849
O  0.000  0.056  0.260
O  0.000  0.944  0.740
O  0.000  0.444  0.260
O  0.000  0.556  0.740
O  0.267  0.750  0.035
O  0.733  0.250  0.965
O  0.733  0.750  0.035
O  0.267  0.250  0.965

As for the relative energy among the computed polymorphs: 6.5 meV/atom. Its total magnetic moment is 1.000 μB/f.u. As for the MP2020-corrected energy: -7.01 eV per atom. Its energy of formation from the pure elements is -1.6202 eV/atom.


No. 4
## Li4Mn3Ni2Sb3O16 (GGA+U)

Data for Li4Mn3Ni2Sb3O16 after structural relaxation.

a = 6.155 Å, b = 6.155 Å, c = 9.748 Å
α = 89.04°, β = 89.04°, γ = 59.06°
Positions (direct):
Li  0.663  0.663  0.124
Li  0.989  0.989  0.007
Li  0.994  0.994  0.494
Li  0.327  0.327  0.604
Mn  0.832  0.832  0.783
Mn  0.169  0.662  0.285
Mn  0.662  0.169  0.285
Ni  0.673  0.673  0.498
Ni  0.343  0.343  0.021
Sb  0.339  0.831  0.784
Sb  0.831  0.339  0.784
Sb  0.171  0.171  0.285
O  0.321  0.847  0.398
O  0.515  0.515  0.665
O  0.655  0.655  0.903
O  0.011  0.011  0.678
O  0.008  0.008  0.186
O  0.847  0.321  0.398
O  0.510  0.963  0.666
O  0.963  0.510  0.666
O  0.156  0.156  0.897
O  0.845  0.845  0.390
O  0.036  0.480  0.162
O  0.480  0.036  0.162
O  0.326  0.326  0.399
O  0.168  0.686  0.896
O  0.478  0.478  0.176
O  0.686  0.168  0.896

Its total magnetic moment is 15.999 μB/f.u. As for the MP2020-corrected energy: -6.86 eV per atom. Its energy of formation from the pure elements is -1.9239 eV/atom.


No. 5
## MgCo6Ag2P6H4O24 (GGA+U)

Data for MgCo6Ag2P6H4O24 after structural relaxation.

a = 6.482 Å, b = 9.364 Å, c = 8.351 Å
α = 91.02°, β = 104.19°, γ = 107.38°
Positions (direct):
Mg  0.495  0.997  0.000
Co  0.244  0.690  0.312
Co  0.621  0.549  0.871
Co  0.142  0.901  0.571
Co  0.380  0.451  0.129
Co  0.857  0.099  0.429
Co  0.756  0.309  0.689
Ag  0.210  0.469  0.523
Ag  0.790  0.531  0.477
P  0.246  0.215  0.792
P  0.754  0.785  0.208
P  0.380  0.169  0.364
P  0.135  0.635  0.850
P  0.620  0.831  0.636
P  0.866  0.366  0.149
H  0.286  0.153  0.092
H  0.039  0.777  0.017
H  0.714  0.848  0.908
H  0.962  0.224  0.984
O  0.324  0.566  0.905
O  0.185  0.770  0.996
O  0.639  0.908  0.819
O  0.817  0.232  0.003
O  0.388  0.333  0.337
O  0.133  0.711  0.691
O  0.612  0.667  0.663
O  0.866  0.289  0.308
O  0.174  0.085  0.423
O  0.360  0.091  0.181
O  0.787  0.752  0.030
O  0.712  0.941  0.202
O  0.214  0.248  0.970
O  0.287  0.058  0.798
O  0.550  0.667  0.245
O  0.971  0.779  0.334
O  0.451  0.332  0.755
O  0.826  0.916  0.577
O  0.907  0.514  0.838
O  0.592  0.155  0.486
O  0.094  0.486  0.163
O  0.408  0.845  0.514
O  0.676  0.435  0.094
O  0.030  0.221  0.666

As for the relative energy among the computed polymorphs: 0.6 meV/atom. Its total magnetic moment is 16.000 μB/f.u. As for the MP2020-corrected energy: -6.94 eV per atom. Its energy of formation from the pure elements is -1.9419 eV/atom.


No. 6
## Na3CrBAsO7 (GGA+U)

Data for Na3CrBAsO7 after structural relaxation.

a = 8.617 Å, b = 8.617 Å, c = 10.411 Å
α = 107.54°, β = 107.54°, γ = 103.03°
Positions (direct):
Na  0.540  0.290  0.073
Na  0.040  0.790  0.073
Na  0.960  0.210  0.928
Na  0.460  0.710  0.928
Na  0.247  0.246  0.244
Na  0.747  0.746  0.244
Na  0.496  0.997  0.244
Na  0.996  0.497  0.244
Na  0.004  0.503  0.756
Na  0.504  0.003  0.756
Na  0.253  0.254  0.756
Na  0.753  0.754  0.756
Cr  0.430  0.680  0.328
Cr  0.070  0.820  0.672
Cr  0.930  0.180  0.328
Cr  0.570  0.320  0.672
B  0.770  0.020  0.064
B  0.270  0.520  0.064
B  0.730  0.480  0.936
B  0.230  0.980  0.936
As  0.694  0.444  0.424
As  0.194  0.944  0.424
As  0.806  0.056  0.576
As  0.306  0.556  0.576
O  0.320  0.070  0.081
O  0.820  0.570  0.081
O  0.180  0.430  0.919
O  0.680  0.930  0.919
O  0.920  0.170  0.130
O  0.420  0.670  0.130
O  0.580  0.330  0.870
O  0.080  0.830  0.870
O  0.726  0.976  0.173
O  0.226  0.476  0.173
O  0.774  0.524  0.827
O  0.274  0.024  0.827
O  0.557  0.307  0.466
O  0.057  0.807  0.466
O  0.943  0.193  0.534
O  0.443  0.693  0.534
O  0.648  0.898  0.416
O  0.147  0.397  0.416
O  0.853  0.603  0.584
O  0.352  0.103  0.584
O  0.577  0.523  0.310
O  0.076  0.023  0.310
O  0.773  0.327  0.310
O  0.273  0.827  0.310
O  0.727  0.173  0.690
O  0.227  0.673  0.690
O  0.923  0.977  0.690
O  0.423  0.477  0.690

Its total magnetic moment is 0.000 μB/f.u. As for the MP2020-corrected energy: -6.84 eV per atom. Its energy of formation from the pure elements is -2.2567 eV/atom.


No. 7
## SrVZnP2O9 (GGA+U)

Data for SrVZnP2O9 after structural relaxation.

a = 9.147 Å, b = 9.261 Å, c = 17.725 Å
α = 90.00°, β = 90.00°, γ = 90.00°
Positions (direct):
Sr  0.068  0.362  0.100
Sr  0.568  0.638  0.400
Sr  0.432  0.862  0.900
Sr  0.932  0.138  0.600
Sr  0.932  0.638  0.900
Sr  0.432  0.362  0.600
Sr  0.568  0.138  0.100
Sr  0.068  0.862  0.400
V  0.755  0.494  0.211
V  0.255  0.506  0.289
V  0.745  0.994  0.789
V  0.245  0.006  0.711
V  0.245  0.506  0.789
V  0.745  0.494  0.711
V  0.255  0.006  0.211
V  0.755  0.994  0.289
Zn  0.072  0.306  0.436
Zn  0.572  0.694  0.064
Zn  0.428  0.806  0.564
Zn  0.928  0.194  0.936
Zn  0.928  0.694  0.564
Zn  0.428  0.306  0.936
Zn  0.572  0.194  0.436
Zn  0.072  0.806  0.064
P  0.234  0.070  0.012
P  0.734  0.930  0.488
P  0.266  0.570  0.988
P  0.766  0.430  0.512
P  0.766  0.930  0.988
P  0.266  0.070  0.512
P  0.734  0.430  0.012
P  0.234  0.570  0.488
P  0.504  0.256  0.272
P  0.004  0.744  0.228
P  0.996  0.756  0.728
P  0.496  0.244  0.772
P  0.496  0.744  0.728
P  0.996  0.256  0.772
P  0.004  0.244  0.272
P  0.504  0.756  0.228
O  0.416  0.360  0.322
O  0.916  0.640  0.178
O  0.084  0.860  0.678
O  0.584  0.140  0.822
O  0.584  0.640  0.678
O  0.084  0.360  0.822
O  0.916  0.140  0.322
O  0.416  0.860  0.178
O  0.602  0.334  0.214
O  0.102  0.666  0.286
O  0.898  0.834  0.786
O  0.398  0.166  0.714
O  0.398  0.666  0.786
O  0.898  0.334  0.714
O  0.102  0.166  0.214
O  0.602  0.834  0.286
O  0.190  0.915  0.989
O  0.690  0.085  0.511
O  0.310  0.415  0.011
O  0.810  0.585  0.489
O  0.810  0.085  0.011
O  0.310  0.915  0.489
O  0.690  0.585  0.989
O  0.190  0.415  0.511
O  0.599  0.158  0.328
O  0.099  0.842  0.172
O  0.901  0.658  0.672
O  0.736  0.544  0.300
O  0.401  0.342  0.828
O  0.901  0.158  0.828
O  0.099  0.342  0.328
O  0.599  0.658  0.172
O  0.377  0.105  0.967
O  0.877  0.895  0.533
O  0.123  0.605  0.033
O  0.623  0.395  0.467
O  0.623  0.895  0.033
O  0.123  0.105  0.467
O  0.877  0.395  0.967
O  0.377  0.605  0.533
O  0.228  0.081  0.597
O  0.728  0.919  0.903
O  0.272  0.581  0.403
O  0.772  0.419  0.097
O  0.772  0.919  0.403
O  0.272  0.081  0.097
O  0.728  0.419  0.597
O  0.228  0.581  0.903
O  0.912  0.847  0.278
O  0.412  0.153  0.222
O  0.588  0.347  0.722
O  0.088  0.653  0.778
O  0.088  0.153  0.722
O  0.588  0.847  0.778
O  0.412  0.653  0.278
O  0.912  0.347  0.222
O  0.112  0.680  0.506
O  0.612  0.320  0.994
O  0.388  0.180  0.494
O  0.888  0.820  0.006
O  0.888  0.320  0.494
O  0.388  0.680  0.006
O  0.612  0.820  0.506
O  0.112  0.180  0.994
O  0.736  0.044  0.200
O  0.236  0.956  0.300
O  0.764  0.544  0.800
O  0.264  0.456  0.700
O  0.264  0.956  0.800
O  0.764  0.044  0.700
O  0.236  0.456  0.200
O  0.401  0.842  0.672

Its total magnetic moment is 1.012 μB/f.u. As for the MP2020-corrected energy: -7.58 eV per atom. Its energy of formation from the pure elements is -2.7683 eV/atom.


No. 8
## Ba3ErMn2O9 (GGA+U)

Data for Ba3ErMn2O9 after structural relaxation.

a = 5.908 Å, b = 5.908 Å, c = 14.426 Å
α = 90.00°, β = 90.00°, γ = 120.00°
Positions (direct):
Ba  0.000  0.000  0.750
Ba  0.000  0.000  0.250
Ba  0.667  0.333  0.908
Ba  0.333  0.667  0.408
Ba  0.333  0.667  0.092
Ba  0.667  0.333  0.592
Er  0.000  0.000  0.000
Er  0.000  0.000  0.500
Mn  0.333  0.667  0.841
Mn  0.667  0.333  0.341
Mn  0.667  0.333  0.159
Mn  0.333  0.667  0.659
O  0.179  0.358  0.913
O  0.821  0.642  0.413
O  0.821  0.642  0.087
O  0.179  0.358  0.587
O  0.179  0.821  0.913
O  0.642  0.821  0.913
O  0.821  0.179  0.413
O  0.358  0.179  0.413
O  0.821  0.179  0.087
O  0.358  0.179  0.087
O  0.179  0.821  0.587
O  0.642  0.821  0.587
O  0.046  0.523  0.750
O  0.477  0.523  0.750
O  0.954  0.477  0.250
O  0.523  0.477  0.250
O  0.477  0.954  0.750
O  0.523  0.046  0.250

Its total magnetic moment is 7.000 μB/f.u. As for the MP2020-corrected energy: -7.63 eV per atom. Its energy of formation from the pure elements is -2.7555 eV/atom.


No. 9
## MgTiMn3O8 (GGA+U)

Data for MgTiMn3O8 after structural relaxation.

a = 5.889 Å, b = 6.097 Å, c = 5.956 Å
α = 59.00°, β = 62.03°, γ = 61.78°
Positions (direct):
Mg  0.002  0.996  0.998
Ti  0.627  0.596  0.141
Mn  0.623  0.121  0.635
Mn  0.128  0.625  0.625
Mn  0.620  0.624  0.621
O  0.826  0.403  0.406
O  0.421  0.365  0.375
O  0.400  0.818  0.380
O  0.385  0.411  0.830
O  0.870  0.846  0.410
O  0.864  0.408  0.871
O  0.413  0.846  0.858
O  0.841  0.870  0.880

As for the relative energy among the computed polymorphs: 6.5 meV/atom. Its total magnetic moment is 10.998 μB/f.u. As for the MP2020-corrected energy: -8.29 eV per atom. Its energy of formation from the pure elements is -2.4036 eV/atom.


No. 10
## MgScMo3O8 (GGA+U)

Data for MgScMo3O8 after structural relaxation.

a = 6.141 Å, b = 6.199 Å, c = 5.174 Å
α = 90.10°, β = 89.15°, γ = 119.21°
Positions (direct):
Mg  0.334  0.667  0.252
Sc  0.330  0.665  0.752
Mo  0.833  0.667  0.253
Mo  0.834  0.167  0.254
Mo  0.334  0.167  0.253
O  0.499  0.981  0.472
O  0.684  0.344  0.059
O  0.655  0.820  0.032
O  0.178  0.821  0.028
O  0.014  0.515  0.474
O  0.983  0.989  0.449
O  0.168  0.353  0.033
O  0.489  0.512  0.477

As for the relative energy among the computed polymorphs: 114.9 meV/atom. Its total magnetic moment is 7.002 μB/f.u. As for the MP2020-corrected energy: -8.45 eV per atom. Its energy of formation from the pure elements is -2.2878 eV/atom.